AlSNCl3 after structural relaxation, computed with GGA-PBE.

Cell: 10.027 7.398 9.575 Å, 64.81 90.00 90.00°
Positions (direct):
Al1 0.870 0.732 0.164
Al2 0.130 0.268 0.836
Al3 0.370 0.268 0.336
Al4 0.630 0.732 0.664
S1 0.967 0.353 0.117
S2 0.033 0.647 0.883
S3 0.467 0.647 0.383
S4 0.533 0.353 0.617
N1 0.956 0.600 0.048
N2 0.044 0.400 0.952
N3 0.456 0.400 0.452
N4 0.544 0.600 0.548
Cl1 0.480 0.905 0.709
Cl2 0.520 0.095 0.291
Cl3 0.980 0.095 0.791
Cl4 0.020 0.905 0.209
Cl5 0.695 0.882 0.052
Cl6 0.305 0.118 0.948
Cl7 0.195 0.118 0.448
Cl8 0.805 0.882 0.552
Cl9 0.829 0.456 0.362
Cl10 0.171 0.544 0.638
Cl11 0.329 0.544 0.138
Cl12 0.671 0.456 0.862

Results
ΔH_f (0 K)	-1.165	eV per atom
E_tot	-4.49	eV per atom